Record 1
Density functional theory data (PBE) for Na5ZrSc3P6O24 after structural relaxation. Values from VASP.

Results
- space group = P1
- size of the total moment (μB/f.u.) = 0.00

```
&SYSTEM
  ibrav = 0, nat = 117, ntyp = 5
/
ATOMIC_SPECIES
Na 22.99 Na.upf
Zr 91.22 Zr.upf
Sc 44.96 Sc.upf
P 30.97 P.upf
O 16.00 O.upf
CELL_PARAMETERS angstrom
8.9949 0.0000 0.0000
4.4889 7.7981 0.0000
0.0285 0.0202 22.9234
ATOMIC_POSITIONS angstrom
Na 0.0000 0.0000 0.0000
Na 1.6213 2.7898 17.3414
Na 3.3236 5.6500 11.5506
Na 1.6920 2.7814 5.8961
Na 4.5073 2.6004 15.3700
Na 6.1621 5.4553 20.9873
Na 6.1911 5.5100 9.6191
Na 4.9163 2.8314 0.0064
Na 7.3966 2.8741 11.5469
Na 9.0016 5.6822 0.0091
Na 6.0717 0.2444 1.9955
Na 6.1670 0.2504 13.5104
Na 9.4454 5.4606 15.3743
Na 7.8012 2.5877 3.9047
Na 11.8419 5.4484 3.9063
Zr 6.1541 5.4681 17.7398
Zr 6.1430 5.4511 6.2831
Zr 6.0971 0.2432 9.9907
Sc 1.6714 2.8584 20.5706
Sc 1.6336 2.7838 13.8364
Sc 1.6533 2.8326 9.1545
Sc 1.6808 2.7888 2.3667
Sc 6.1770 5.5115 13.0519
Sc 6.1499 5.4488 1.6110
Sc 6.0920 0.2458 5.4350
Sc 6.1684 0.2578 21.3582
Sc 6.2274 0.2581 16.9124
P 2.9522 5.1147 0.0744
P 0.3610 0.5660 11.4959
P 3.5101 5.4596 15.3109
P 4.8167 7.7361 3.8696
P 4.2781 2.8543 11.5378
P 2.9604 0.5592 0.0444
P 4.8291 3.1484 3.8647
P 7.4782 7.7440 15.3493
P 3.4956 0.2739 7.6786
P 4.8298 2.5349 19.1545
P 7.4693 3.1657 15.3152
P 8.7925 5.4489 3.8579
P 9.3548 5.7534 19.1587
P 7.4940 2.5236 7.6764
P 8.0104 2.8364 0.0733
P 9.3361 5.1038 11.5351
P 8.8105 0.2744 19.1894
P 11.9390 5.7374 7.6836
O 0.9197 1.3582 3.7530
O 2.6338 4.1734 15.2041
O 0.9564 1.2328 10.2694
O 2.7428 4.2179 21.8017
O 5.0423 6.8662 2.6036
O 4.3618 5.6478 14.0326
O 4.4947 5.6302 7.5609
O 5.1772 6.7909 19.0281
O 5.4012 6.9237 11.6523
O 5.4473 7.0204 5.0831
O 4.4523 5.2240 16.5188
O 4.5000 5.2778 0.2177
O 3.2920 3.0778 3.7444
O 2.3119 1.2266 21.7642
O 3.3733 3.0865 10.3292
O 2.3921 1.3624 15.2125
O 2.6201 1.5097 7.8367
O 3.3104 2.6843 19.2993
O 2.7382 1.4484 1.2949
O 3.4558 2.6377 12.8281
O 5.1011 4.0824 5.0740
O 6.8512 7.0504 16.5763
O 6.8151 6.9414 0.2136
O 5.2000 4.1115 11.6592
O 5.4954 3.9395 19.0147
O 7.1273 6.7814 7.5571
O 5.4596 3.7820 2.5926
O 7.2405 6.8375 14.1192
O 5.1179 1.6975 17.8909
O 4.3941 0.4442 6.4507
O 4.5379 0.4190 22.8542
O 5.2405 1.6260 11.3840
O 5.4485 1.9121 20.4397
O 4.3981 0.0422 8.9293
O 4.5337 0.0770 15.4777
O 5.5275 1.7832 4.0175
O 6.8113 3.9202 7.5521
O 7.8047 5.6285 19.0239
O 6.8376 3.7959 14.0422
O 7.9377 5.6398 2.5806
O 7.0951 4.0961 0.2143
O 7.7962 5.2270 11.6724
O 7.2032 4.0954 16.5301
O 7.8471 5.2138 5.0624
O 6.7798 1.7942 15.4773
O 6.8617 1.8690 8.9504
O 9.5884 6.6015 20.4421
O 9.7304 6.6640 4.0040
O 7.1253 1.5951 22.8653
O 7.1959 1.6886 6.4153
O 9.9306 6.4218 17.8929
O 10.0225 6.5018 11.3738
O 8.9501 3.1065 21.7999
O 9.5902 4.2117 10.3189
O 9.0086 3.0889 15.1949
O 9.6649 4.1637 3.7464
O 8.8561 2.5974 1.3583
O 9.9830 4.5147 12.8165
O 9.0050 2.6755 7.8325
O 9.9866 4.3630 19.3017
O 7.7828 0.4207 11.3668
O 11.3357 6.5549 22.8646
O 7.9028 0.4464 17.9614
O 11.3671 6.4112 6.4203
O 11.5617 6.6726 15.4645
O 7.7782 0.0616 4.0102
O 11.6873 6.6139 8.9553
O 7.9781 0.0468 20.4814
O 9.5468 1.4602 12.7413
O 11.3197 4.5026 1.3607
O 9.6975 1.5174 19.3080
O 11.3162 4.3523 7.8409
```

Record 2
Density functional theory data (PBE) for Na2ZrScP3O12 after structural relaxation. Values from VASP.

Results
- size of the total moment (μB/f.u.) = 0.00

```
&SYSTEM
  ibrav = 0, nat = 114, ntyp = 5
/
ATOMIC_SPECIES
O 16.00 O.upf
Sc 44.96 Sc.upf
P 30.97 P.upf
Na 22.99 Na.upf
Zr 91.22 Zr.upf
CELL_PARAMETERS angstrom
9.0065 -0.0324 -0.0011
-4.5313 7.7837 0.0011
-0.0027 0.0016 23.0404
ATOMIC_POSITIONS angstrom
O 3.8753 1.0422 21.2769
O -2.7757 7.5537 4.4796
O -0.6478 1.6142 4.5517
O 1.7001 5.4241 22.3352
O 3.7655 4.0620 5.6091
O -1.0322 3.8740 13.2780
O 2.7282 2.7919 3.2081
O 0.9981 6.4792 17.4376
O -3.4557 6.3790 15.9998
O 5.1858 6.2547 2.0718
O 6.1430 2.7071 21.2718
O 8.0051 1.3133 13.5884
O -1.0193 6.5235 5.9097
O 0.6233 1.5296 9.4376
O 3.4813 1.2681 5.5971
O -1.7410 4.9325 8.3921
O 3.4084 6.3643 4.5255
O 3.4916 3.9191 21.2693
O -0.6941 3.5681 22.3647
O 7.3417 0.1612 2.0682
O 7.2391 0.1876 18.5676
O 5.2036 1.0769 9.7516
O 3.8574 6.2200 13.5971
O 6.2136 2.8182 14.6543
O -1.0934 6.5992 22.4092
O -0.7302 1.4901 20.9697
O -0.7480 6.6678 13.2900
O 5.1427 0.9602 3.1341
O -1.6853 5.3730 17.4299
O 2.7725 2.3266 0.7112
O 5.1222 6.1396 18.4948
O 3.8452 4.1876 12.2315
O 6.1515 2.3920 5.6054
O 6.2486 2.3435 12.1583
O 2.8388 2.4600 17.1293
O 0.6486 6.7958 8.3660
O 1.6322 5.3114 5.9123
O -0.6356 3.6465 5.9174
O 0.6054 6.7074 1.7578
O 0.6901 3.6828 17.4325
O -1.7853 5.3978 10.8889
O 1.0394 6.5675 10.8445
O -1.6720 5.0643 1.7698
O -3.5463 6.4389 9.4469
O 1.0578 3.7731 8.3190
O 1.0186 1.2998 2.0769
O 3.4201 3.9933 14.7283
O 0.9672 3.8330 1.7660
O 5.5529 3.9616 3.1636
O 2.7520 7.5059 16.0719
O 5.1163 4.1031 17.1174
O 2.8282 2.7671 9.7491
O 3.8194 0.9622 14.6838
O 0.6664 1.6181 16.0458
O 5.5116 3.8733 9.7567
O 5.5713 1.1672 0.6381
O -2.8755 7.6037 20.9671
O 3.4608 6.4474 20.9578
O 7.9336 1.3874 7.0474
O -1.0872 3.7924 19.8862
O 0.6292 3.5661 10.8150
O 1.0572 1.3897 18.5242
O 2.8210 7.6378 9.4495
O 1.7351 4.9494 19.8392
O 5.1621 4.1900 0.6851
O 1.6500 0.1336 13.5921
O 1.7206 0.2447 6.9745
O 3.8016 6.1400 7.0040
O 5.4780 1.2287 17.1256
O -0.6683 6.7935 19.9123
O 3.4263 1.1865 12.2053
O 1.6380 4.9979 13.2862
Sc 0.0375 5.1877 11.9438
Sc 4.4956 7.6976 8.1033
Sc 0.0553 0.0099 19.6236
Sc 4.5134 2.5198 15.7831
Sc 0.0026 5.1241 0.4236
Sc 4.5510 2.5818 4.2629
P 1.3224 2.2529 17.3020
P 5.8044 0.3046 1.9173
P 5.7839 5.4839 17.2780
P 1.8663 2.6157 1.9539
P 3.1867 5.4787 5.7818
P 2.5987 5.1788 21.1184
P 7.6552 2.2220 5.7932
P -1.3718 7.4338 21.1549
P 3.1417 4.8279 13.4741
P 6.3771 0.0114 17.3134
P -2.6473 5.2216 9.6347
P 7.1122 2.5730 13.4375
P 1.2909 2.9105 9.5982
P 2.6192 -0.0005 5.7578
P 3.2045 0.3010 13.4616
P 1.3046 7.4307 9.6222
P 5.8181 4.8248 1.9414
P -1.3090 2.9068 21.1425
Na 1.6507 2.8097 5.7471
Na 4.4747 7.7483 11.4782
Na 6.1616 0.2054 21.1066
Na -0.0183 5.1749 3.7984
Na -0.0169 5.1804 15.3186
Na 7.3794 2.3117 9.5864
Na -2.8628 5.4156 13.4279
Na 4.4926 2.5705 19.1580
Na 2.8659 4.9175 17.2673
Na 4.4966 2.5745 7.6378
Na 0.0009 0.0026 22.9984
Na -1.6449 7.5219 1.9077
Zr -0.0805 5.1693 18.7666
Zr 4.4152 7.7412 3.4059
Zr -0.0226 0.0577 14.9261
Zr 4.4704 2.6312 22.6059
Zr 4.4331 2.5634 11.0857
Zr -0.0404 5.2355 7.2463
```

Record 3
Density functional theory data (PBE) for NaTaSiSnP2O12 after structural relaxation. Values from VASP.

Results
- space group = Cc
- size of the total moment (μB/f.u.) = 0.00

```
&SYSTEM
  ibrav = 0, nat = 108, ntyp = 6
/
ATOMIC_SPECIES
Na 22.99 Na.upf
Ta 180.95 Ta.upf
Si 28.09 Si.upf
Sn 118.71 Sn.upf
P 30.97 P.upf
O 16.00 O.upf
CELL_PARAMETERS angstrom
7.6083 -4.4027 0.0000
7.6083 4.4027 0.0000
-0.1032 0.0000 22.8975
ATOMIC_POSITIONS angstrom
Na 7.6083 4.4016 0.0000
Na 7.5567 -4.4016 11.4488
Na 5.0597 0.0162 3.8163
Na 5.0081 -0.0162 15.2651
Na 10.0956 0.0181 19.0830
Na 10.1472 -0.0181 7.6342
Ta -0.0110 0.0044 8.0874
Ta -0.0626 -0.0044 19.5361
Ta 5.0461 0.0139 11.9043
Ta 5.0977 -0.0139 0.4555
Ta 10.1214 0.0551 15.7232
Ta 10.1730 -0.0551 4.2745
Si 2.2050 1.2453 5.6948
Si 5.0333 2.5591 9.5119
Si 2.1534 -1.2453 17.1436
Si 4.9817 -2.5591 20.9606
Si 12.3379 1.2676 13.3249
Si 12.3895 -1.2676 1.8761
Sn -0.0362 0.0053 14.7945
Sn 0.0154 -0.0053 3.3457
Sn 5.0424 0.0325 7.1609
Sn 4.9908 -0.0325 18.6096
Sn 10.1034 0.0120 22.4252
Sn 10.1549 -0.0120 10.9764
P 5.3651 3.1092 17.1496
P 2.8128 1.2859 20.9553
P 7.6006 1.8512 5.6974
P 2.8644 -1.2859 9.5066
P 7.1977 1.2552 20.9578
P 7.9283 1.2763 13.3137
P 10.1456 2.5341 1.8788
P 7.2492 -1.2552 9.5090
P 7.9798 -1.2763 1.8650
P 5.4167 -3.1092 5.7008
P 7.5490 -1.8512 17.1462
P 10.0940 -2.5341 13.3276
O 6.3893 3.4901 9.3134
O 1.4105 0.6098 20.7818
O 6.2012 3.3209 15.8859
O 1.5694 0.6061 4.3653
O 3.6619 1.1009 19.7053
O 4.7982 1.6732 8.2010
O 3.7673 0.9741 13.1434
O 4.9046 1.5026 1.6850
O 3.4599 0.6200 22.2097
O 5.2081 1.6029 17.3240
O 1.4620 -0.6098 9.3330
O 7.3329 2.8067 20.7855
O 5.2931 1.5870 10.8279
O 1.5178 -0.6061 15.8140
O 3.6745 0.6043 5.8138
O 7.3424 2.6859 4.4393
O 8.9315 3.4553 2.0201
O 7.7494 2.7832 13.4743
O 8.7969 3.3979 18.4542
O 7.8299 2.7642 6.9474
O 6.2951 1.0312 22.2133
O 3.5115 -0.6200 10.7610
O 3.6229 -0.6043 17.2626
O 6.3974 0.9342 5.8490
O 3.8189 -0.9741 1.6946
O 6.5188 0.6089 13.1526
O 6.6076 0.6491 19.6918
O 3.7134 -1.1009 8.2565
O 9.8918 1.7188 0.6216
O 8.7578 1.0584 12.0593
O 8.8862 0.9866 5.5182
O 9.8809 1.5037 16.9538
O 4.8530 -1.5026 13.1337
O 10.2634 1.6165 9.6665
O 10.3881 1.6510 3.1338
O 8.5601 0.6049 14.5757
O 8.5851 0.6374 21.1329
O 6.5704 -0.6089 1.7038
O 4.7466 -1.6732 19.6498
O 6.6592 -0.6491 8.2430
O 6.3458 -0.9342 17.2978
O 5.2596 -1.6029 5.8753
O 5.2415 -1.5870 22.2767
O 6.3466 -1.0312 10.7645
O 8.6117 -0.6049 3.1269
O 11.3567 0.9999 14.6404
O 8.6367 -0.6374 9.6842
O 11.2884 0.9054 21.0854
O 11.6132 0.6442 5.5173
O 8.8346 -0.9866 16.9670
O 8.8094 -1.0584 0.6106
O 11.7002 0.6081 12.0195
O 6.2528 -3.3209 4.4371
O 7.2909 -2.6859 15.8881
O 7.3845 -2.8067 9.3367
O 6.3377 -3.4901 20.7621
O 9.9325 -1.5037 5.5050
O 7.8010 -2.7832 2.0255
O 13.6604 0.6136 6.9496
O 7.7783 -2.7642 18.3961
O 11.5616 -0.6442 16.9660
O 13.8007 0.6144 13.4947
O 11.7518 -0.6081 0.5707
O 9.8402 -1.7188 12.0704
O 11.3399 -0.9054 9.6367
O 10.2119 -1.6165 21.1152
O 11.4082 -0.9999 3.1917
O 10.3366 -1.6510 14.5826
O 8.8485 -3.3979 7.0054
O 13.6088 -0.6136 18.3983
O 8.8799 -3.4553 13.4688
O 13.8522 -0.6144 2.0460
```

Record 4
Density functional theory data (PBE) for NaTa2SiSn2P5O24 after structural relaxation. Values from VASP.

Results
- space group = P1
- size of the total moment (μB/f.u.) = 0.00

```
&SYSTEM
  ibrav = 0, nat = 105, ntyp = 6
/
ATOMIC_SPECIES
Na 22.99 Na.upf
Ta 180.95 Ta.upf
Si 28.09 Si.upf
Sn 118.71 Sn.upf
P 30.97 P.upf
O 16.00 O.upf
CELL_PARAMETERS angstrom
8.7739 0.0000 0.0000
4.3857 7.6009 0.0000
0.0290 0.0228 22.7173
ATOMIC_POSITIONS angstrom
Na 0.0000 0.0000 0.0000
Na 8.7960 0.0293 11.4900
Na 4.4160 2.5414 3.7876
Ta 4.3840 7.5935 3.3048
Ta 0.0251 0.0251 8.1737
Ta 4.3742 2.5403 11.9415
Ta 4.4234 2.5614 18.4468
Ta 8.7572 5.0985 4.3751
Ta 8.8005 5.1306 22.2119
Si 1.8865 2.5858 9.5068
Si 6.2755 5.0519 1.9413
Si 10.0058 7.2551 1.9349
Sn 4.4129 7.6200 19.3916
Sn 0.0285 0.0273 14.7825
Sn 4.3967 2.5581 7.1805
Sn 4.4047 2.5382 0.5431
Sn 8.8006 5.0771 15.6571
Sn 8.8010 5.0724 10.9338
P 3.1633 5.4161 5.7334
P 3.1786 4.7492 20.8796
P 2.5258 0.0353 5.7320
P 5.7047 5.4350 17.0890
P 3.1323 0.3981 20.8775
P 5.6720 4.7176 9.5215
P 7.5136 7.2598 13.3004
P 5.6486 0.3691 9.5251
P 6.9528 2.5323 20.8742
P 7.5388 2.8739 13.3057
P 10.6446 7.5990 17.0901
P 7.5168 2.1765 5.7392
P 10.0213 2.9310 1.9503
P 11.3382 5.1195 13.3054
P 10.0595 2.2325 17.0935
O 3.7704 6.1692 20.7302
O 3.7748 6.1339 4.4889
O 0.9681 1.1962 9.3351
O 1.1642 1.3341 15.8546
O 2.7217 2.8132 8.1536
O 2.7624 2.7683 1.8339
O 3.4595 3.8611 13.0683
O 3.4704 3.8711 19.6430
O 3.8271 4.1694 22.1445
O 4.9516 6.1074 9.3346
O 2.8214 2.3669 17.3619
O 1.6179 0.2248 4.4975
O 1.6111 0.1884 20.7283
O 3.8442 4.0368 5.7857
O 4.9862 5.9915 15.8528
O 2.8573 2.2945 10.8028
O 5.9839 7.4632 13.4320
O 5.3951 6.4295 2.1465
O 6.0201 7.4400 6.9849
O 5.5141 6.2977 18.3453
O 3.3115 1.2455 22.1427
O 4.9992 4.0584 10.7470
O 3.4423 1.2638 5.8125
O 5.0500 4.0381 17.3552
O 5.2929 3.7842 1.8592
O 3.7577 1.0765 19.6436
O 3.7976 1.0525 13.0807
O 5.5118 3.8970 8.2378
O 7.7021 6.3993 12.0496
O 7.7626 6.3537 5.5598
O 7.2041 5.2427 16.9100
O 7.2129 5.2773 0.6204
O 7.1453 4.9730 9.7376
O 4.9211 1.0981 1.8567
O 8.1603 6.6853 14.5629
O 8.2076 6.6124 21.0429
O 7.2155 4.8577 3.2685
O 6.0135 2.7316 13.0580
O 6.0465 2.7356 19.6387
O 5.0715 0.9497 8.2327
O 5.3788 1.2646 17.3612
O 5.9881 2.3252 5.8442
O 5.4580 1.2948 10.7505
O 6.1214 2.2533 22.1345
O 7.7068 3.7208 14.5738
O 7.8231 3.7989 21.0572
O 9.4331 6.6009 9.7376
O 9.4102 6.5096 3.2650
O 9.7281 6.3970 16.9057
O 9.7872 6.3155 0.6127
O 8.1963 3.5430 5.5515
O 8.2025 3.4790 12.0685
O 7.0989 0.3447 15.8535
O 7.7981 1.2970 4.4991
O 7.2082 0.2226 9.3446
O 7.8758 1.3018 20.7229
O 11.4895 7.3310 18.3444
O 8.1197 1.4891 6.9932
O 8.1532 1.4547 13.4375
O 9.3907 3.5437 0.6826
O 11.6333 7.4089 2.1416
O 10.4859 5.4005 12.0683
O 9.4729 3.6264 16.9124
O 10.4199 5.2768 5.5233
O 9.6820 3.8188 9.7156
O 9.7506 3.7733 3.2139
O 10.4168 4.8361 21.0509
O 10.5243 4.8260 14.5693
O 9.4046 1.6336 18.3461
O 9.3633 1.5324 2.1494
O 12.2065 6.2806 6.9804
O 12.2720 6.3473 13.4401
```

Values of electronic total energy, in order: -7.411, -7.571, -7.525, -7.602, all in eV/atom.